Ca8Mn7CrO23: relaxed, PBE with a Hubbard U.

formation energy	-2516	meV/atom
offset from the most stable computed form	0	meV per atom
MP2020-corrected energy	-301.755	eV/f.u.
total energy	-6.98	eV/atom

Cell and atoms, written as CIF:
```
data_Ca8Mn7CrO23
_chemical_formula_sum 'Ca32 Mn28 Cr4 O92'
_cell_length_a 10.736
_cell_length_b 10.876
_cell_length_c 15.253
_cell_angle_alpha 90.08
_cell_angle_beta 90.04
_cell_angle_gamma 90.37
_symmetry_space_group_name_H-M 'P 1'
_symmetry_Int_Tables_number 1
loop_
_symmetry_equiv_pos_as_xyz
'x,y,z'
loop_
_atom_site_label
_atom_site_type_symbol
_atom_site_fract_x
_atom_site_fract_y
_atom_site_fract_z
Ca1 Ca 0.000 0.000 0.000
Ca2 Ca 0.000 0.451 0.251
Ca3 Ca 0.000 0.493 0.987
Ca4 Ca 0.001 0.447 0.745
Ca5 Ca 0.002 0.953 0.255
Ca6 Ca 0.010 0.956 0.737
Ca7 Ca 0.227 0.701 0.249
Ca8 Ca 0.229 0.744 0.987
Ca9 Ca 0.240 0.202 0.744
Ca10 Ca 0.243 0.201 0.250
Ca11 Ca 0.243 0.703 0.745
Ca12 Ca 0.248 0.247 0.497
Ca13 Ca 0.249 0.248 0.994
Ca14 Ca 0.249 0.746 0.496
Ca15 Ca 0.469 0.008 0.992
Ca16 Ca 0.487 0.490 0.989
Ca17 Ca 0.489 0.997 0.496
Ca18 Ca 0.490 0.495 0.498
Ca19 Ca 0.490 0.957 0.742
Ca20 Ca 0.491 0.965 0.254
Ca21 Ca 0.494 0.442 0.255
Ca22 Ca 0.499 0.450 0.744
Ca23 Ca 0.739 0.205 0.254
Ca24 Ca 0.739 0.699 0.744
Ca25 Ca 0.741 0.206 0.738
Ca26 Ca 0.748 0.702 0.260
Ca27 Ca 0.749 0.252 0.988
Ca28 Ca 0.750 0.247 0.496
Ca29 Ca 0.751 0.747 0.499
Ca30 Ca 0.755 0.714 0.990
Ca31 Ca 0.990 0.496 0.498
Ca32 Ca 0.992 0.000 0.496
Mn1 Mn 0.238 0.977 0.122
Mn2 Mn 0.239 0.470 0.122
Mn3 Mn 0.244 0.475 0.621
Mn4 Mn 0.244 0.974 0.372
Mn5 Mn 0.244 0.974 0.870
Mn6 Mn 0.245 0.475 0.372
Mn7 Mn 0.245 0.974 0.619
Mn8 Mn 0.248 0.472 0.869
Mn9 Mn 0.492 0.225 0.870
Mn10 Mn 0.493 0.226 0.120
Mn11 Mn 0.494 0.224 0.621
Mn12 Mn 0.495 0.223 0.374
Mn13 Mn 0.495 0.725 0.622
Mn14 Mn 0.499 0.723 0.375
Mn15 Mn 0.737 0.982 0.858
Mn16 Mn 0.745 0.474 0.373
Mn17 Mn 0.745 0.475 0.620
Mn18 Mn 0.746 0.973 0.375
Mn19 Mn 0.746 0.973 0.619
Mn20 Mn 0.754 0.992 0.126
Mn21 Mn 0.987 0.724 0.122
Mn22 Mn 0.994 0.225 0.371
Mn23 Mn 0.994 0.225 0.620
Mn24 Mn 0.994 0.725 0.621
Mn25 Mn 0.995 0.725 0.374
Mn26 Mn 0.996 0.221 0.871
Mn27 Mn 0.998 0.715 0.864
Mn28 Mn 0.999 0.224 0.122
Cr1 Cr 0.459 0.733 0.116
Cr2 Cr 0.497 0.724 0.871
Cr3 Cr 0.744 0.471 0.867
Cr4 Cr 0.763 0.460 0.121
O1 O 0.010 0.720 0.992
O2 O 0.033 0.219 0.496
O3 O 0.035 0.711 0.497
O4 O 0.037 0.215 0.996
O5 O 0.089 0.073 0.140
O6 O 0.091 0.574 0.138
O7 O 0.093 0.073 0.852
O8 O 0.098 0.580 0.644
O9 O 0.099 0.581 0.350
O10 O 0.100 0.081 0.353
O11 O 0.101 0.082 0.637
O12 O 0.106 0.571 0.852
O13 O 0.135 0.828 0.137
O14 O 0.136 0.829 0.851
O15 O 0.140 0.331 0.642
O16 O 0.140 0.830 0.352
O17 O 0.141 0.325 0.849
O18 O 0.141 0.331 0.349
O19 O 0.142 0.829 0.641
O20 O 0.144 0.324 0.144
O21 O 0.206 0.466 0.496
O22 O 0.208 0.460 0.996
O23 O 0.208 0.962 0.496
O24 O 0.209 0.964 0.996
O25 O 0.278 0.982 0.246
O26 O 0.279 0.984 0.745
O27 O 0.283 0.489 0.246
O28 O 0.287 0.486 0.745
O29 O 0.338 0.623 0.097
O30 O 0.344 0.123 0.891
O31 O 0.347 0.124 0.100
O32 O 0.348 0.621 0.601
O33 O 0.348 0.624 0.386
O34 O 0.350 0.119 0.392
O35 O 0.350 0.119 0.600
O36 O 0.352 0.617 0.896
O37 O 0.389 0.870 0.893
O38 O 0.390 0.369 0.600
O39 O 0.391 0.880 0.103
O40 O 0.392 0.371 0.389
O41 O 0.392 0.870 0.600
O42 O 0.394 0.369 0.888
O43 O 0.395 0.869 0.385
O44 O 0.398 0.375 0.105
O45 O 0.455 0.232 0.745
O46 O 0.459 0.740 0.746
O47 O 0.460 0.225 0.246
O48 O 0.502 0.730 0.229
O49 O 0.534 0.218 0.996
O50 O 0.535 0.214 0.497
O51 O 0.536 0.712 0.496
O52 O 0.549 0.711 0.017
O53 O 0.589 0.076 0.857
O54 O 0.596 0.065 0.131
O55 O 0.598 0.580 0.642
O56 O 0.599 0.578 0.350
O57 O 0.601 0.081 0.644
O58 O 0.602 0.081 0.352
O59 O 0.603 0.576 0.852
O60 O 0.639 0.331 0.641
O61 O 0.640 0.330 0.352
O62 O 0.640 0.830 0.354
O63 O 0.641 0.341 0.145
O64 O 0.642 0.830 0.644
O65 O 0.644 0.323 0.850
O66 O 0.661 0.828 0.869
O67 O 0.703 0.964 0.498
O68 O 0.704 0.464 0.496
O69 O 0.708 0.471 0.997
O70 O 0.779 0.972 0.248
O71 O 0.780 0.486 0.248
O72 O 0.784 0.481 0.744
O73 O 0.794 0.983 0.743
O74 O 0.820 0.623 0.115
O75 O 0.846 0.131 0.095
O76 O 0.847 0.621 0.601
O77 O 0.847 0.622 0.392
O78 O 0.848 0.120 0.390
O79 O 0.849 0.120 0.599
O80 O 0.851 0.100 0.901
O81 O 0.851 0.615 0.882
O82 O 0.856 0.872 0.081
O83 O 0.888 0.364 0.892
O84 O 0.890 0.370 0.601
O85 O 0.890 0.371 0.391
O86 O 0.891 0.870 0.394
O87 O 0.892 0.870 0.597
O88 O 0.898 0.374 0.096
O89 O 0.951 0.744 0.746
O90 O 0.953 0.234 0.245
O91 O 0.955 0.229 0.747
O92 O 0.957 0.740 0.247
```

=====

V5BiO10: relaxed, PBE with a Hubbard U.

formation energy	-2371	meV/atom
offset from the most stable computed form	0	meV per atom
MP2020-corrected energy	-136.731	eV/f.u.
total energy	-7.59	eV/atom

Cell and atoms, written as CIF:
```
data_V5BiO10
_chemical_formula_sum 'V20 Bi4 O40'
_cell_length_a 10.036
_cell_length_b 10.042
_cell_length_c 10.396
_cell_angle_alpha 118.64
_cell_angle_beta 118.67
_cell_angle_gamma 90.03
_symmetry_space_group_name_H-M 'P 1'
_symmetry_Int_Tables_number 1
loop_
_symmetry_equiv_pos_as_xyz
'x,y,z'
loop_
_atom_site_label
_atom_site_type_symbol
_atom_site_fract_x
_atom_site_fract_y
_atom_site_fract_z
V1 V 0.000 0.000 0.000
V2 V 0.010 0.676 0.398
V3 V 0.075 0.785 0.202
V4 V 0.094 0.464 0.605
V5 V 0.199 0.198 0.395
V6 V 0.210 0.870 0.795
V7 V 0.275 0.994 0.606
V8 V 0.291 0.667 0.010
V9 V 0.399 0.403 0.807
V10 V 0.412 0.076 0.198
V11 V 0.473 0.186 0.005
V12 V 0.486 0.865 0.404
V13 V 0.599 0.604 0.206
V14 V 0.613 0.280 0.605
V15 V 0.676 0.383 0.400
V16 V 0.688 0.061 0.798
V17 V 0.797 0.801 0.600
V18 V 0.813 0.475 0.004
V19 V 0.873 0.586 0.799
V20 V 0.890 0.260 0.201
Bi1 Bi 0.055 0.255 0.837
Bi2 Bi 0.433 0.615 0.568
Bi3 Bi 0.629 0.822 0.981
Bi4 Bi 0.850 0.044 0.423
O1 O 0.004 0.492 0.398
O2 O 0.036 0.593 0.201
O3 O 0.041 0.884 0.411
O4 O 0.077 0.978 0.198
O5 O 0.078 0.228 0.198
O6 O 0.103 0.668 0.995
O7 O 0.179 0.991 0.993
O8 O 0.199 0.432 0.812
O9 O 0.215 0.695 0.808
O10 O 0.241 0.079 0.806
O11 O 0.246 0.785 0.599
O12 O 0.274 0.168 0.596
O13 O 0.291 0.432 0.598
O14 O 0.304 0.873 0.409
O15 O 0.379 0.196 0.400
O16 O 0.405 0.888 0.205
O17 O 0.407 0.641 0.207
O18 O 0.444 0.266 0.187
O19 O 0.447 0.974 0.991
O20 O 0.487 0.382 0.013
O21 O 0.492 0.646 0.007
O22 O 0.496 0.073 0.807
O23 O 0.588 0.817 0.592
O24 O 0.592 0.397 0.807
O25 O 0.604 0.082 0.597
O26 O 0.639 0.486 0.606
O27 O 0.651 0.184 0.405
O28 O 0.679 0.570 0.389
O29 O 0.693 0.842 0.402
O30 O 0.706 0.263 0.195
O31 O 0.788 0.605 0.203
O32 O 0.795 0.026 0.999
O33 O 0.808 0.295 0.006
O34 O 0.834 0.672 0.987
O35 O 0.857 0.386 0.810
O36 O 0.878 0.780 0.805
O37 O 0.894 0.042 0.806
O38 O 0.904 0.476 0.616
O39 O 0.993 0.796 0.603
O40 O 0.996 0.228 0.403
```

=====

La2Ti3NiO10: relaxed, PBE with a Hubbard U.

formation energy	-3287	meV/atom
MP2020-corrected energy	-141.412	eV/f.u.
total energy	-8.25	eV/atom

Cell and atoms, written as CIF:
```
data_La2Ti3NiO10
_chemical_formula_sum 'La2 Ti3 Ni1 O10'
_cell_length_a 13.653
_cell_length_b 13.653
_cell_length_c 13.653
_cell_angle_alpha 163.76
_cell_angle_beta 163.76
_cell_angle_gamma 23.04
_symmetry_space_group_name_H-M 'P 1'
_symmetry_Int_Tables_number 1
loop_
_symmetry_equiv_pos_as_xyz
'x,y,z'
loop_
_atom_site_label
_atom_site_type_symbol
_atom_site_fract_x
_atom_site_fract_y
_atom_site_fract_z
La1 La 0.081 0.081 0.000
La2 La 0.919 0.919 0.000
Ti1 Ti 0.341 0.341 0.000
Ti2 Ti 0.500 0.500 0.000
Ti3 Ti 0.659 0.659 0.000
Ni1 Ni 0.750 0.250 0.500
O1 O 0.141 0.641 0.500
O2 O 0.273 0.273 0.000
O3 O 0.359 0.859 0.500
O4 O 0.427 0.427 0.000
O5 O 0.501 0.001 0.500
O6 O 0.573 0.573 0.000
O7 O 0.644 0.144 0.500
O8 O 0.727 0.727 0.000
O9 O 0.856 0.356 0.500
O10 O 0.999 0.499 0.500
```

=====

CoSbO3: relaxed, PBE with a Hubbard U.

formation energy	-1073	meV/atom
MP2020-corrected energy	-31.447	eV/f.u.
total energy	-5.55	eV/atom

Cell and atoms, written as CIF:
```
data_CoSbO3
_chemical_formula_sum 'Co1 Sb1 O3'
_cell_length_a 3.765
_cell_length_b 3.765
_cell_length_c 3.765
_cell_angle_alpha 90.00
_cell_angle_beta 90.00
_cell_angle_gamma 90.00
_symmetry_space_group_name_H-M 'P 1'
_symmetry_Int_Tables_number 1
loop_
_symmetry_equiv_pos_as_xyz
'x,y,z'
loop_
_atom_site_label
_atom_site_type_symbol
_atom_site_fract_x
_atom_site_fract_y
_atom_site_fract_z
Co1 Co 0.000 0.000 0.000
Sb1 Sb 0.500 0.500 0.500
O1 O 0.000 0.000 0.500
O2 O 0.000 0.500 0.000
O3 O 0.500 0.000 0.000
```

=====

Mo2C4O9: relaxed, PBE with a Hubbard U.

formation energy	-1165	meV/atom
MP2020-corrected energy	-120.613	eV/f.u.
total energy	-7.20	eV/atom

Cell and atoms, written as CIF:
```
data_Mo2C4O9
_chemical_formula_sum 'Mo4 C8 O18'
_cell_length_a 7.531
_cell_length_b 8.323
_cell_length_c 10.972
_cell_angle_alpha 104.65
_cell_angle_beta 106.01
_cell_angle_gamma 96.95
_symmetry_space_group_name_H-M 'P 1'
_symmetry_Int_Tables_number 1
loop_
_symmetry_equiv_pos_as_xyz
'x,y,z'
loop_
_atom_site_label
_atom_site_type_symbol
_atom_site_fract_x
_atom_site_fract_y
_atom_site_fract_z
Mo1 Mo 0.180 0.004 0.113
Mo2 Mo 0.194 0.981 0.508
Mo3 Mo 0.806 0.019 0.492
Mo4 Mo 0.820 0.996 0.887
C1 C 0.150 0.302 0.988
C2 C 0.177 0.700 0.777
C3 C 0.378 0.605 0.389
C4 C 0.413 0.020 0.304
C5 C 0.587 0.980 0.696
C6 C 0.622 0.395 0.611
C7 C 0.823 0.300 0.223
C8 C 0.850 0.698 0.012
O1 O 0.012 0.755 0.094
O2 O 0.056 0.162 0.567
O3 O 0.057 0.712 0.686
O4 O 0.251 0.667 0.407
O5 O 0.256 0.254 0.075
O6 O 0.295 0.690 0.868
O7 O 0.375 0.072 0.415
O8 O 0.419 0.008 0.687
O9 O 0.497 0.458 0.630
O10 O 0.503 0.542 0.370
O11 O 0.581 0.992 0.313
O12 O 0.625 0.928 0.585
O13 O 0.705 0.310 0.132
O14 O 0.744 0.746 0.925
O15 O 0.749 0.333 0.593
O16 O 0.943 0.288 0.314
O17 O 0.944 0.838 0.433
O18 O 0.988 0.245 0.906
```

=====

Mn6O5F7: relaxed, PBE with a Hubbard U.

formation energy	-2412	meV/atom
offset from the most stable computed form	29	meV per atom
MP2020-corrected energy	-136.525	eV/f.u.
total energy	-6.66	eV/atom

Cell and atoms, written as CIF:
```
data_Mn6O5F7
_chemical_formula_sum 'Mn6 O5 F7'
_cell_length_a 4.731
_cell_length_b 5.727
_cell_length_c 7.879
_cell_angle_alpha 86.53
_cell_angle_beta 88.82
_cell_angle_gamma 88.82
_symmetry_space_group_name_H-M 'P 1'
_symmetry_Int_Tables_number 1
loop_
_symmetry_equiv_pos_as_xyz
'x,y,z'
loop_
_atom_site_label
_atom_site_type_symbol
_atom_site_fract_x
_atom_site_fract_y
_atom_site_fract_z
Mn1 Mn 0.000 0.000 0.000
Mn2 Mn 0.001 0.323 0.668
Mn3 Mn 0.501 0.505 0.012
Mn4 Mn 0.526 0.847 0.690
Mn5 Mn 0.564 0.164 0.338
Mn6 Mn 0.985 0.669 0.361
O1 O 0.325 0.800 0.913
O2 O 0.704 0.215 0.105
O3 O 0.706 0.864 0.459
O4 O 0.823 0.378 0.453
O5 O 0.824 0.043 0.775
F1 F 0.188 0.961 0.242
F2 F 0.214 0.308 0.890
F3 F 0.223 0.627 0.595
F4 F 0.299 0.476 0.250
F5 F 0.326 0.142 0.558
F6 F 0.721 0.537 0.787
F7 F 0.807 0.699 0.116
```

=====

K3VSO3: relaxed, PBE with a Hubbard U.

formation energy	-2072	meV/atom
MP2020-corrected energy	-47.975	eV/f.u.
total energy	-5.46	eV/atom

Cell and atoms, written as CIF:
```
data_K3VSO3
_chemical_formula_sum 'K6 V2 S2 O6'
_cell_length_a 6.707
_cell_length_b 5.994
_cell_length_c 8.864
_cell_angle_alpha 90.00
_cell_angle_beta 102.64
_cell_angle_gamma 90.00
_symmetry_space_group_name_H-M 'P 1'
_symmetry_Int_Tables_number 1
loop_
_symmetry_equiv_pos_as_xyz
'x,y,z'
loop_
_atom_site_label
_atom_site_type_symbol
_atom_site_fract_x
_atom_site_fract_y
_atom_site_fract_z
K1 K 0.187 0.250 0.032
K2 K 0.253 0.250 0.503
K3 K 0.281 0.750 0.778
K4 K 0.719 0.250 0.222
K5 K 0.747 0.750 0.497
K6 K 0.813 0.750 0.968
V1 V 0.196 0.750 0.291
V2 V 0.804 0.250 0.709
S1 S 0.442 0.750 0.152
S2 S 0.558 0.250 0.848
O1 O 0.046 0.516 0.242
O2 O 0.046 0.984 0.242
O3 O 0.307 0.750 0.486
O4 O 0.693 0.250 0.514
O5 O 0.954 0.016 0.758
O6 O 0.954 0.484 0.758
```

=====

Mn2PO5: relaxed, PBE with a Hubbard U.

formation energy	-2409	meV/atom
offset from the most stable computed form	4	meV per atom
MP2020-corrected energy	-67.752	eV/f.u.
total energy	-7.62	eV/atom

Cell and atoms, written as CIF:
```
data_Mn2PO5
_chemical_formula_sum 'Mn8 P4 O20'
_cell_length_a 8.180
_cell_length_b 6.270
_cell_length_c 7.848
_cell_angle_alpha 90.00
_cell_angle_beta 90.00
_cell_angle_gamma 90.00
_symmetry_space_group_name_H-M 'P 1'
_symmetry_Int_Tables_number 1
loop_
_symmetry_equiv_pos_as_xyz
'x,y,z'
loop_
_atom_site_label
_atom_site_type_symbol
_atom_site_fract_x
_atom_site_fract_y
_atom_site_fract_z
Mn1 Mn 0.000 0.000 0.000
Mn2 Mn 0.000 0.500 0.000
Mn3 Mn 0.156 0.250 0.370
Mn4 Mn 0.344 0.750 0.870
Mn5 Mn 0.500 0.000 0.500
Mn6 Mn 0.500 0.500 0.500
Mn7 Mn 0.656 0.250 0.130
Mn8 Mn 0.844 0.750 0.630
P1 P 0.172 0.750 0.340
P2 P 0.328 0.250 0.840
P3 P 0.672 0.750 0.160
P4 P 0.828 0.250 0.660
O1 O 0.021 0.750 0.451
O2 O 0.041 0.250 0.139
O3 O 0.123 0.750 0.147
O4 O 0.222 0.046 0.870
O5 O 0.222 0.454 0.870
O6 O 0.278 0.546 0.370
O7 O 0.278 0.954 0.370
O8 O 0.377 0.250 0.647
O9 O 0.459 0.750 0.639
O10 O 0.479 0.250 0.951
O11 O 0.521 0.750 0.049
O12 O 0.541 0.250 0.361
O13 O 0.623 0.750 0.353
O14 O 0.722 0.046 0.630
O15 O 0.722 0.454 0.630
O16 O 0.778 0.546 0.130
O17 O 0.778 0.954 0.130
O18 O 0.877 0.250 0.853
O19 O 0.959 0.750 0.861
O20 O 0.979 0.250 0.549
```